SrCuTeF | PBE | relaxed

a b c (Å): 4.276 4.276 9.222
angles (deg): 90.00 90.00 90.00
Fractional coordinates of all 8 atoms:
Sr: 0.250 0.250 0.147
Sr: 0.750 0.750 0.853
Cu: 0.250 0.750 0.500
Cu: 0.750 0.250 0.500
Te: 0.250 0.250 0.674
Te: 0.750 0.750 0.326
F: 0.250 0.750 0.000
F: 0.750 0.250 0.000

Properties
E_tot = -4.62 eV/atom
E_form = -2.021 eV per atom

TiCuF6 | PBE | relaxed

a b c (Å): 5.089 5.218 5.348
angles (deg): 62.59 89.75 62.10
Fractional coordinates of all 8 atoms:
Ti: 0.000 0.000 0.000
Cu: 0.500 0.000 0.500
F: 0.105 0.554 0.224
F: 0.250 0.888 0.754
F: 0.350 0.895 0.249
F: 0.650 0.105 0.751
F: 0.750 0.112 0.246
F: 0.895 0.446 0.776

Properties
E_tot = -5.58 eV/atom
E_form = -2.995 eV per atom

Tl2CuF3 | PBE | relaxed

a b c (Å): 6.199 6.582 20.983
angles (deg): 84.79 89.36 75.40
Fractional coordinates of all 36 atoms:
Tl: 0.026 0.113 0.157
Tl: 0.029 0.108 0.651
Tl: 0.281 0.841 0.995
Tl: 0.302 0.560 0.682
Tl: 0.308 0.558 0.179
Tl: 0.364 0.775 0.485
Tl: 0.636 0.225 0.515
Tl: 0.692 0.442 0.821
Tl: 0.698 0.440 0.318
Tl: 0.719 0.159 0.005
Tl: 0.971 0.892 0.349
Tl: 0.974 0.887 0.843
Cu: 0.000 0.500 0.000
Cu: 0.000 0.500 0.500
Cu: 0.332 0.169 0.333
Cu: 0.352 0.148 0.832
Cu: 0.648 0.852 0.168
Cu: 0.668 0.831 0.667
F: 0.000 0.000 0.500
F: 0.079 0.449 0.085
F: 0.118 0.437 0.581
F: 0.207 0.234 0.252
F: 0.219 0.223 0.753
F: 0.329 0.663 0.331
F: 0.331 0.683 0.818
F: 0.456 0.104 0.414
F: 0.480 0.078 0.912
F: 0.500 0.500 0.000
F: 0.520 0.922 0.088
F: 0.544 0.896 0.586
F: 0.669 0.317 0.182
F: 0.671 0.337 0.669
F: 0.781 0.777 0.247
F: 0.793 0.766 0.748
F: 0.882 0.563 0.419
F: 0.921 0.551 0.915

Properties
E_tot = -3.87 eV/atom
E_form = -1.676 eV per atom

TlCuF3 | PBE | relaxed

a b c (Å): 4.165 4.165 4.165
angles (deg): 90.00 90.00 90.00
Fractional coordinates of all 5 atoms:
Tl: 0.000 0.000 0.000
Cu: 0.500 0.500 0.500
F: 0.000 0.500 0.500
F: 0.500 0.000 0.500
F: 0.500 0.500 0.000

Properties
E_tot = -4.07 eV/atom
E_form = -1.901 eV per atom

ZnCuF5 | PBE | relaxed

a b c (Å): 5.156 9.620 7.406
angles (deg): 90.00 110.60 90.00
Fractional coordinates of all 28 atoms:
Zn: 0.023 0.014 0.253
Zn: 0.023 0.486 0.753
Zn: 0.977 0.514 0.247
Zn: 0.977 0.986 0.747
Cu: 0.399 0.246 0.602
Cu: 0.399 0.254 0.102
Cu: 0.601 0.746 0.898
Cu: 0.601 0.754 0.398
F: 0.101 0.113 0.557
F: 0.101 0.387 0.057
F: 0.136 0.108 0.002
F: 0.136 0.392 0.502
F: 0.301 0.628 0.352
F: 0.301 0.872 0.852
F: 0.355 0.199 0.340
F: 0.355 0.301 0.840
F: 0.358 0.595 0.806
F: 0.358 0.905 0.306
F: 0.642 0.095 0.694
F: 0.642 0.405 0.194
F: 0.645 0.699 0.160
F: 0.645 0.801 0.660
F: 0.699 0.128 0.148
F: 0.699 0.372 0.648
F: 0.864 0.608 0.498
F: 0.864 0.892 0.998
F: 0.899 0.613 0.943
F: 0.899 0.887 0.443

Properties
E_tot = -3.82 eV/atom
E_form = -2.015 eV per atom

ZrCuF3 | PBE | relaxed

a b c (Å): 3.399 5.547 19.652
angles (deg): 95.42 91.21 105.69
Fractional coordinates of all 20 atoms:
Zr: 0.000 0.000 0.000
Zr: 0.164 0.503 0.754
Zr: 0.399 0.998 0.506
Zr: 0.643 0.492 0.253
Cu: 0.126 0.308 0.342
Cu: 0.405 0.820 0.089
Cu: 0.634 0.342 0.847
Cu: 0.874 0.806 0.594
F: 0.000 0.337 0.041
F: 0.157 0.146 0.429
F: 0.229 0.222 0.690
F: 0.399 0.635 0.175
F: 0.463 0.718 0.443
F: 0.470 0.129 0.933
F: 0.509 0.836 0.789
F: 0.688 0.198 0.193
F: 0.713 0.701 0.937
F: 0.802 0.316 0.542
F: 0.845 0.639 0.682
F: 0.987 0.823 0.293

Properties
E_tot = -5.84 eV/atom
E_form = -2.436 eV per atom

FeCu4 | PBE | relaxed

a b c (Å): 10.593 10.593 10.593
angles (deg): 13.83 13.83 13.83
Fractional coordinates of all 5 atoms:
Fe: 0.000 0.000 0.000
Cu: 0.200 0.200 0.200
Cu: 0.400 0.400 0.400
Cu: 0.600 0.600 0.600
Cu: 0.800 0.800 0.800

Properties
E_tot = -4.91 eV/atom
E_form = 0.062 eV per atom

FeCu | PBE | relaxed

a b c (Å): 2.454 2.454 4.138
angles (deg): 90.00 90.00 108.23
Fractional coordinates of all 2 atoms:
Fe: 0.000 0.000 0.000
Cu: 0.500 0.500 0.500

Properties
E_tot = -6.11 eV/atom
E_form = 0.172 eV per atom